Record 1
Compound: Dy2AgAu
Source: the Materials Project database
Functional: r²SCAN
Structure: optimized geometry

Lattice parameters (Å, degrees): 5.0702 5.0702 5.0702 60.00 60.00 60.00
Sites, in units of the cell vectors:
Dy  0.2500  0.2500  0.2500
Dy  0.7500  0.7500  0.7500
Ag  0.0000  0.0000  0.0000
Au  0.5000  0.5000  0.5000

## Properties
total energy = -138.5 eV/cell
energy relative to the elements = -0.6547 eV per atom



Record 2
Compound: Er2AgAu
Source: the Materials Project database
Functional: r²SCAN
Structure: optimized geometry

Lattice parameters (Å, degrees): 5.0242 5.0242 5.0242 60.00 60.00 60.00
Sites, in units of the cell vectors:
Er  0.2500  0.2500  0.2500
Er  0.7500  0.7500  0.7500
Ag  0.0000  0.0000  0.0000
Au  0.5000  0.5000  0.5000

## Properties
total energy = -142.4 eV/cell
energy relative to the elements = -0.6626 eV per atom



Record 3
Compound: AgAu2F8
Source: the Materials Project database
Functional: r²SCAN
Structure: optimized geometry

Lattice parameters (Å, degrees): 5.1754 10.9756 7.2070 90.00 130.18 90.00
Sites, in units of the cell vectors:
Ag  0.0000  0.0000  0.0000
Ag  0.0000  0.5000  0.5000
Au  0.2488  0.1802  0.5283
Au  0.2488  0.3198  0.0283
Au  0.7512  0.6802  0.9717
Au  0.7512  0.8198  0.4717
F  0.0530  0.7226  0.7594
F  0.0530  0.7774  0.2594
F  0.0980  0.0275  0.3443
F  0.0980  0.4725  0.8443
F  0.4062  0.1693  0.2104
F  0.4062  0.3307  0.7104
F  0.4619  0.5876  0.6663
F  0.4619  0.9124  0.1663
F  0.5381  0.0876  0.8337
F  0.5381  0.4124  0.3337
F  0.5938  0.6693  0.2896
F  0.5938  0.8307  0.7896
F  0.9020  0.5275  0.1557
F  0.9020  0.9725  0.6557
F  0.9470  0.2226  0.7406
F  0.9470  0.2774  0.2406

## Properties
total energy = -321.5 eV/cell
energy relative to the elements = -1.2019 eV per atom



Record 4
Compound: Ho2AgAu
Source: the Materials Project database
Functional: r²SCAN
Structure: optimized geometry

Lattice parameters (Å, degrees): 5.0459 5.0459 5.0459 60.00 60.00 60.00
Sites, in units of the cell vectors:
Ho  0.2500  0.2500  0.2500
Ho  0.7500  0.7500  0.7500
Ag  0.0000  0.0000  0.0000
Au  0.5000  0.5000  0.5000

## Properties
total energy = -140.3 eV/cell
energy relative to the elements = -0.6604 eV per atom



Record 5
Compound: Li2AgAu
Source: the Materials Project database
Functional: r²SCAN
Structure: optimized geometry

Lattice parameters (Å, degrees): 4.3846 4.3846 4.3846 60.00 60.00 60.00
Sites, in units of the cell vectors:
Li  0.2500  0.2500  0.2500
Li  0.7500  0.7500  0.7500
Ag  0.0000  0.0000  0.0000
Au  0.5000  0.5000  0.5000

## Properties
total energy = -78.3 eV/cell
energy relative to the elements = -0.3939 eV per atom



Record 6
Compound: AgAuO2
Source: the Materials Project database
Functional: r²SCAN
Structure: optimized geometry

Lattice parameters (Å, degrees): 5.4208 5.3429 4.0700 90.00 90.00 90.00
Sites, in units of the cell vectors:
Ag  0.0000  0.0000  0.0000
Ag  0.5000  0.0000  0.5000
Au  0.0000  0.5000  0.5000
Au  0.5000  0.5000  0.0000
O  0.2500  0.2974  0.2500
O  0.2500  0.7026  0.7500
O  0.7500  0.2974  0.2500
O  0.7500  0.7026  0.7500

## Properties
total energy = -169.5 eV/cell
energy relative to the elements = -0.2216 eV per atom



Record 7
Compound: AgAuO2
Source: the Materials Project database
Functional: r²SCAN
Structure: optimized geometry

Lattice parameters (Å, degrees): 5.6116 3.8788 5.4793 90.00 104.01 90.00
Sites, in units of the cell vectors:
Ag  0.0000  0.0000  0.0000
Ag  0.0000  0.5000  0.5000
Au  0.5000  0.0000  0.5000
Au  0.5000  0.5000  0.0000
O  0.2998  0.2057  0.7225
O  0.2998  0.2943  0.2225
O  0.7002  0.7057  0.7775
O  0.7002  0.7943  0.2775

## Properties
total energy = -169.7 eV/cell
energy relative to the elements = -0.2351 eV per atom



Record 8
Compound: Pm2AgAu
Source: the Materials Project database
Functional: r²SCAN
Structure: optimized geometry

Lattice parameters (Å, degrees): 5.2128 5.2128 5.2128 60.00 60.00 60.00
Sites, in units of the cell vectors:
Pm  0.2500  0.2500  0.2500
Pm  0.7500  0.7500  0.7500
Ag  0.0000  0.0000  0.0000
Au  0.5000  0.5000  0.5000

## Properties
total energy = -133.4 eV/cell
energy relative to the elements = -0.5862 eV per atom



Q: The highest energy relative to the elements belongs to which entry?
A: number 6